# 1
This record from the Materials Project database describes a relaxed structure of SiNiN2. The functional is PBE-GGA.

The structure belongs to space group Pbca (No. 61); the cell edges are 5.052, 10.172 and 12.577 Å and the angles 90.00°, 90.00° and 90.00°. The inequivalent atoms are Si at (0.139, 0.037, 0.186), Si at (0.213, 0.710, 0.561), Ni at (0.170, 0.548, 0.943), Ni at (0.210, 0.708, 0.804), N at (0.131, 0.224, 0.949), N at (0.153, 0.209, 0.173), N at (0.187, 0.015, 0.798) and N at (0.224, 0.042, 0.576).

Its energy with MP2020 corrections is -479.9 eV per cell. Its electronic total energy is -468.3 eV for the cell shown. The value obtained for the calculated volume is 10.1 Å³ per atom. For the formation energy, the calculation gives -0.529 eV/atom.

***

# 2
This record from the Materials Project database describes a relaxed structure of Ba2TmTaO6. The functional is PBE-GGA.

The structure belongs to space group Fm-3m (No. 225); the cell edges are 8.468, 8.468 and 8.468 Å and the angles 90.00°, 90.00° and 90.00°. The inequivalent atoms are Ba at (0.250, 0.250, 0.250), Tm at (0.000, 0.000, 0.000), Ta at (0.000, 0.000, 0.500) and O at (0.000, 0.000, 0.262).

Its energy with MP2020 corrections is -344.0 eV per cell. Its electronic total energy is -327.5 eV for the cell shown. The value obtained for the calculated volume is 15.2 Å³ per atom. For the formation energy, the calculation gives -3.614 eV/atom.

***

# 3
This record from the Materials Project database describes a relaxed structure of BrF5. The functional is PBE-GGA.

The structure belongs to space group Cmc2_1 (No. 36); the cell edges are 6.733, 7.501 and 7.996 Å and the angles 90.00°, 90.00° and 90.00°. The inequivalent atoms are Br at (0.000, 0.174, 0.000), F at (0.000, 0.026, 0.186), F at (0.000, 0.344, 0.840), F at (0.000, 0.349, 0.146) and F at (0.230, 0.313, 0.509).

Its energy with MP2020 corrections is -76.7 eV per cell. The calculation puts the largest piezoelectric modulus at 0.2 C/m2. Its electronic total energy is -67.4 eV for the cell shown. The value obtained for the calculated volume is 16.8 Å³ per atom. For the formation energy, the calculation gives -1.326 eV/atom.

***

Values for calculated density, Mg/m³, ordered as above
4.72, 7.88, 2.88